## FeRe2O6 (PBE+U)

Data for a relaxed structure of FeRe2O6.

Computed properties:
DFT formation energy ... -1.823 eV/atom

Cell lengths 4.802, 4.802, 8.509 Å; angles 90.00, 90.00, 89.90 degrees
Element x y z (fractional)
Fe: 0.000 0.000 0.667
Fe: 0.500 0.500 0.167
Re: 0.500 0.500 0.516
Re: 0.500 0.500 0.818
Re: 0.000 0.000 0.015
Re: 0.000 0.000 0.319
O: 0.220 0.780 0.167
O: 0.781 0.219 0.167
O: 0.279 0.279 0.667
O: 0.720 0.720 0.667
O: 0.207 0.793 0.493
O: 0.207 0.793 0.840
O: 0.793 0.207 0.493
O: 0.793 0.207 0.841
O: 0.293 0.293 0.340
O: 0.293 0.293 0.993
O: 0.707 0.707 0.341
O: 0.707 0.707 0.993